Sr3Be2B5HO13 | the Materials Project database | PBE-GGA | optimized geometry; magnetization = 0.000 μB/cell; space-group type = No. 8; VASP energy = -7.36 eV per atom; formation energy = -71.853 eV/f.u.
1.0
5.196 4.239 0.000
-5.196 4.239 0.000
0.000 2.379 6.177
O H B Sr Be
13 1 5 3 2
Cartesian
0.000 10.059 5.010
1.201 3.504 2.034
-1.213 6.647 5.032
2.527 4.977 3.464
-1.700 7.302 2.453
1.700 7.302 2.453
0.000 5.152 0.705
-1.201 3.504 2.034
0.000 5.299 3.128
-3.987 5.007 0.225
3.987 5.007 0.225
1.213 6.647 5.032
-2.527 4.977 3.464
0.000 4.661 3.871
0.000 4.343 1.894
0.000 2.667 5.895
-2.405 3.874 2.675
0.000 6.891 5.605
2.405 3.874 2.675
2.987 4.920 6.066
-2.987 4.920 6.066
0.000 1.041 2.535
-1.460 6.170 3.518
1.460 6.170 3.518